Entry 1:
Entry from the Materials Project database: Li24Mn5Cr7O36 after structural relaxation (PBE with a Hubbard U).

Results
energy with MP2020 corrections	-6.89	eV/atom

abc: 5.033 9.764 13.283
angles: 97.01 100.57 94.96
Space group P1 (No. 1)
Unique sites:
Li (0.000, 0.000, 0.000) x1
Li (0.001, 0.500, 0.499) x1
Li (0.116, 0.499, 0.719) x1
Li (0.126, 0.002, 0.222) x1
Li (0.166, 0.250, 0.583) x1
Li (0.171, 0.750, 0.083) x1
Li (0.216, 0.000, 0.445) x1
Li (0.218, 0.500, 0.948) x1
Li (0.331, 0.500, 0.166) x1
Li (0.336, 0.000, 0.667) x1
Li (0.457, 0.500, 0.386) x1
Li (0.458, 0.999, 0.888) x1
Li (0.503, 0.250, 0.251) x1
Li (0.505, 0.749, 0.751) x1
Li (0.551, 0.998, 0.113) x1
Li (0.559, 0.501, 0.615) x1
Li (0.667, 0.000, 0.333) x1
Li (0.670, 0.500, 0.834) x1
Li (0.788, 0.501, 0.053) x1
Li (0.790, 0.999, 0.553) x1
Li (0.836, 0.250, 0.917) x1
Li (0.838, 0.750, 0.417) x1
Li (0.883, 0.001, 0.779) x1
Li (0.885, 0.497, 0.279) x1
Mn (0.057, 0.248, 0.360) x1
Mn (0.613, 0.749, 0.973) x1
Mn (0.725, 0.250, 0.694) x1
Mn (0.945, 0.748, 0.638) x1
Mn (0.950, 0.251, 0.139) x1
Cr (0.064, 0.750, 0.860) x1
Cr (0.273, 0.248, 0.805) x1
Cr (0.286, 0.752, 0.306) x1
Cr (0.392, 0.748, 0.530) x1
Cr (0.401, 0.252, 0.030) x1
Cr (0.607, 0.250, 0.473) x1
Cr (0.733, 0.750, 0.195) x1
O (0.024, 0.138, 0.689) x1
O (0.029, 0.637, 0.193) x1
O (0.095, 0.365, 0.049) x1
O (0.097, 0.864, 0.549) x1
O (0.167, 0.861, 0.762) x1
O (0.172, 0.361, 0.262) x1
O (0.174, 0.638, 0.407) x1
O (0.176, 0.137, 0.903) x1
O (0.238, 0.137, 0.116) x1
O (0.239, 0.636, 0.619) x1
O (0.316, 0.361, 0.474) x1
O (0.318, 0.862, 0.978) x1
O (0.353, 0.137, 0.355) x1
O (0.355, 0.638, 0.858) x1
O (0.430, 0.865, 0.215) x1
O (0.434, 0.363, 0.716) x1
O (0.498, 0.362, 0.931) x1
O (0.499, 0.862, 0.429) x1
O (0.500, 0.637, 0.070) x1
O (0.506, 0.138, 0.570) x1
O (0.571, 0.635, 0.282) x1
O (0.576, 0.135, 0.784) x1
O (0.647, 0.361, 0.143) x1
O (0.647, 0.861, 0.642) x1
O (0.699, 0.138, 0.025) x1
O (0.699, 0.637, 0.524) x1
O (0.768, 0.363, 0.382) x1
O (0.768, 0.863, 0.882) x1
O (0.832, 0.637, 0.736) x1
O (0.832, 0.861, 0.095) x1
O (0.834, 0.138, 0.238) x1
O (0.840, 0.363, 0.597) x1
O (0.904, 0.636, 0.951) x1
O (0.905, 0.136, 0.451) x1
O (0.977, 0.361, 0.809) x1
O (0.979, 0.862, 0.308) x1

---

Entry 2:
Entry from the Materials Project database: Li2MnCrO4 after structural relaxation (PBE with a Hubbard U).

Results
energy with MP2020 corrections	-7.58	eV/atom

abc: 8.260 8.254 6.001
angles: 90.00 132.78 90.00
Space group C2/c (No. 15)
Unique sites:
Li (0.000, 0.000, 0.000) x4
Li (0.250, 0.250, 0.000) x4
Mn (0.250, 0.250, 0.500) x4
Cr (0.000, 0.500, 0.000) x4
O (0.020, 0.255, 0.514) x8
O (0.229, 0.490, 0.467) x8

---

Entry 3:
Entry from the Materials Project database: Li24Mn5Cr7O36 after structural relaxation (PBE with a Hubbard U).

Results
energy with MP2020 corrections	-6.89	eV/atom

abc: 5.016 9.741 13.267
angles: 97.03 100.52 94.81
Space group P1 (No. 1)
Unique sites:
Li (0.000, 0.000, 0.000) x1
Li (0.000, 0.500, 0.499) x1
Li (0.115, 0.000, 0.220) x1
Li (0.121, 0.501, 0.722) x1
Li (0.167, 0.751, 0.083) x1
Li (0.171, 0.250, 0.582) x1
Li (0.215, 0.499, 0.945) x1
Li (0.219, 0.000, 0.447) x1
Li (0.335, 0.001, 0.667) x1
Li (0.335, 0.500, 0.167) x1
Li (0.449, 0.000, 0.886) x1
Li (0.455, 0.502, 0.388) x1
Li (0.503, 0.750, 0.751) x1
Li (0.505, 0.250, 0.249) x1
Li (0.547, 0.499, 0.612) x1
Li (0.553, 0.001, 0.114) x1
Li (0.667, 0.501, 0.833) x1
Li (0.669, 0.000, 0.334) x1
Li (0.783, 0.001, 0.552) x1
Li (0.788, 0.500, 0.055) x1
Li (0.834, 0.750, 0.415) x1
Li (0.838, 0.250, 0.916) x1
Li (0.880, 0.500, 0.279) x1
Li (0.885, 0.001, 0.781) x1
Mn (0.278, 0.250, 0.805) x1
Mn (0.278, 0.749, 0.306) x1
Mn (0.612, 0.250, 0.472) x1
Mn (0.613, 0.752, 0.972) x1
Mn (0.945, 0.250, 0.139) x1
Cr (0.063, 0.250, 0.360) x1
Cr (0.063, 0.751, 0.861) x1
Cr (0.392, 0.751, 0.531) x1
Cr (0.396, 0.250, 0.026) x1
Cr (0.721, 0.750, 0.192) x1
Cr (0.729, 0.250, 0.693) x1
Cr (0.941, 0.749, 0.635) x1
O (0.022, 0.139, 0.691) x1
O (0.022, 0.639, 0.191) x1
O (0.093, 0.866, 0.551) x1
O (0.099, 0.364, 0.049) x1
O (0.164, 0.137, 0.902) x1
O (0.164, 0.361, 0.263) x1
O (0.164, 0.862, 0.763) x1
O (0.167, 0.639, 0.404) x1
O (0.236, 0.137, 0.118) x1
O (0.243, 0.635, 0.615) x1
O (0.314, 0.862, 0.977) x1
O (0.317, 0.364, 0.478) x1
O (0.356, 0.139, 0.358) x1
O (0.360, 0.639, 0.857) x1
O (0.432, 0.364, 0.715) x1
O (0.436, 0.864, 0.216) x1
O (0.498, 0.137, 0.569) x1
O (0.498, 0.362, 0.929) x1
O (0.500, 0.861, 0.428) x1
O (0.502, 0.638, 0.071) x1
O (0.568, 0.635, 0.286) x1
O (0.569, 0.137, 0.784) x1
O (0.636, 0.863, 0.640) x1
O (0.650, 0.363, 0.145) x1
O (0.688, 0.139, 0.024) x1
O (0.700, 0.637, 0.526) x1
O (0.761, 0.865, 0.881) x1
O (0.765, 0.364, 0.382) x1
O (0.831, 0.137, 0.235) x1
O (0.832, 0.361, 0.596) x1
O (0.835, 0.863, 0.094) x1
O (0.836, 0.638, 0.737) x1
O (0.903, 0.137, 0.451) x1
O (0.903, 0.637, 0.951) x1
O (0.980, 0.863, 0.310) x1
O (0.983, 0.363, 0.811) x1

---

Entry 4:
Entry from the Materials Project database: Li3Mn5Cr3O16 after structural relaxation (PBE with a Hubbard U).

Results
energy with MP2020 corrections	-8.04	eV/atom

abc: 10.279 5.841 10.196
angles: 90.00 109.11 90.00
Space group Cm (No. 8)
Unique sites:
Li (0.000, 0.000, 0.000) x2
Li (0.002, 0.500, 0.507) x2
Li (0.369, 0.000, 0.131) x2
Mn (0.186, 0.250, 0.815) x4
Mn (0.187, 0.000, 0.570) x2
Mn (0.187, 0.250, 0.318) x4
Cr (0.186, 0.500, 0.067) x2
Cr (0.435, 0.000, 0.815) x2
Cr (0.436, 0.500, 0.320) x2
O (0.070, 0.272, 0.932) x4
O (0.073, 0.000, 0.214) x2
O (0.073, 0.500, 0.712) x2
O (0.074, 0.227, 0.439) x4
O (0.081, 0.500, 0.205) x2
O (0.085, 0.000, 0.699) x2
O (0.291, 0.000, 0.436) x2
O (0.291, 0.500, 0.930) x2
O (0.298, 0.221, 0.696) x4
O (0.298, 0.500, 0.420) x2
O (0.299, 0.000, 0.921) x2
O (0.302, 0.268, 0.202) x4

---

Entry 5:
Entry from the Materials Project database: Li9Mn7Cr12O48 after structural relaxation (PBE with a Hubbard U).

Results
energy with MP2020 corrections	-7.64	eV/atom

abc: 5.146 10.331 17.521
angles: 90.07 90.26 90.05
Space group P1 (No. 1)
Unique sites:
Li (0.000, 0.000, 0.000) x1
Li (0.000, 0.337, 0.000) x1
Li (0.002, 0.841, 0.502) x1
Li (0.155, 0.667, 0.224) x1
Li (0.341, 0.168, 0.725) x1
Li (0.485, 0.670, 0.771) x1
Li (0.498, 0.340, 0.444) x1
Li (0.502, 0.172, 0.279) x1
Li (0.992, 0.671, 0.671) x1
Mn (0.000, 0.169, 0.172) x1
Mn (0.003, 0.493, 0.500) x1
Mn (0.496, 0.491, 0.946) x1
Mn (0.497, 0.846, 0.946) x1
Mn (0.498, 0.993, 0.447) x1
Mn (0.657, 0.668, 0.225) x1
Mn (0.838, 0.168, 0.722) x1
Cr (0.019, 0.445, 0.816) x1
Cr (0.021, 0.890, 0.817) x1
Cr (0.027, 0.168, 0.529) x1
Cr (0.472, 0.668, 0.418) x1
Cr (0.474, 0.389, 0.128) x1
Cr (0.475, 0.948, 0.129) x1
Cr (0.526, 0.168, 0.917) x1
Cr (0.530, 0.445, 0.630) x1
Cr (0.531, 0.893, 0.631) x1
Cr (0.969, 0.668, 0.029) x1
Cr (0.972, 0.947, 0.318) x1
Cr (0.974, 0.389, 0.317) x1
O (0.070, 0.301, 0.768) x1
O (0.073, 0.033, 0.769) x1
O (0.090, 0.168, 0.623) x1
O (0.149, 0.540, 0.007) x1
O (0.149, 0.797, 0.008) x1
O (0.150, 0.043, 0.263) x1
O (0.152, 0.916, 0.395) x1
O (0.154, 0.421, 0.394) x1
O (0.155, 0.294, 0.262) x1
O (0.201, 0.309, 0.103) x1
O (0.202, 0.027, 0.104) x1
O (0.202, 0.666, 0.473) x1
O (0.296, 0.166, 0.474) x1
O (0.297, 0.521, 0.842) x1
O (0.298, 0.813, 0.843) x1
O (0.343, 0.039, 0.937) x1
O (0.343, 0.297, 0.937) x1
O (0.349, 0.799, 0.684) x1
O (0.351, 0.414, 0.552) x1
O (0.351, 0.925, 0.553) x1
O (0.353, 0.540, 0.683) x1
O (0.408, 0.668, 0.324) x1
O (0.410, 0.526, 0.175) x1
O (0.411, 0.810, 0.176) x1
O (0.596, 0.169, 0.823) x1
O (0.600, 0.304, 0.677) x1
O (0.601, 0.036, 0.679) x1
O (0.648, 0.423, 0.050) x1
O (0.648, 0.799, 0.439) x1
O (0.648, 0.914, 0.051) x1
O (0.656, 0.541, 0.439) x1
O (0.663, 0.042, 0.182) x1
O (0.663, 0.294, 0.180) x1
O (0.695, 0.668, 0.971) x1
O (0.698, 0.026, 0.344) x1
O (0.705, 0.313, 0.342) x1
O (0.789, 0.169, 0.972) x1
O (0.796, 0.814, 0.605) x1
O (0.801, 0.525, 0.604) x1
O (0.843, 0.041, 0.508) x1
O (0.844, 0.417, 0.894) x1
O (0.845, 0.919, 0.895) x1
O (0.847, 0.793, 0.764) x1
O (0.848, 0.542, 0.764) x1
O (0.851, 0.298, 0.508) x1
O (0.902, 0.668, 0.122) x1
O (0.909, 0.528, 0.271) x1
O (0.909, 0.809, 0.272) x1

---

Entry 6:
Entry from the Materials Project database: Li4MnCrO6 after structural relaxation (PBE with a Hubbard U).

Results
energy with MP2020 corrections	-6.88	eV/atom

abc: 5.043 8.660 9.754
angles: 81.79 84.73 89.76
Space group P1 (No. 1)
Unique sites:
Li (0.000, 0.000, 0.000) x1
Li (0.003, 0.332, 0.000) x1
Li (0.011, 0.664, 0.999) x1
Li (0.129, 0.457, 0.250) x1
Li (0.245, 0.253, 0.499) x1
Li (0.249, 0.581, 0.499) x1
Li (0.260, 0.911, 0.500) x1
Li (0.379, 0.709, 0.750) x1
Li (0.497, 0.501, 0.000) x1
Li (0.499, 0.831, 0.999) x1
Li (0.506, 0.165, 0.998) x1
Li (0.628, 0.956, 0.249) x1
Li (0.748, 0.752, 0.500) x1
Li (0.753, 0.082, 0.500) x1
Li (0.762, 0.411, 0.499) x1
Li (0.879, 0.209, 0.749) x1
Mn (0.127, 0.124, 0.249) x1
Mn (0.129, 0.789, 0.250) x1
Mn (0.377, 0.041, 0.749) x1
Mn (0.877, 0.540, 0.750) x1
Cr (0.380, 0.377, 0.749) x1
Cr (0.625, 0.287, 0.251) x1
Cr (0.631, 0.627, 0.248) x1
Cr (0.880, 0.877, 0.749) x1
O (0.036, 0.725, 0.638) x1
O (0.071, 0.405, 0.634) x1
O (0.076, 0.045, 0.638) x1
O (0.179, 0.507, 0.863) x1
O (0.185, 0.868, 0.862) x1
O (0.217, 0.188, 0.861) x1
O (0.292, 0.975, 0.138) x1
O (0.319, 0.295, 0.137) x1
O (0.321, 0.655, 0.134) x1
O (0.430, 0.757, 0.362) x1
O (0.431, 0.118, 0.360) x1
O (0.470, 0.438, 0.362) x1
O (0.536, 0.225, 0.637) x1
O (0.571, 0.905, 0.634) x1
O (0.575, 0.545, 0.638) x1
O (0.679, 0.007, 0.863) x1
O (0.685, 0.368, 0.863) x1
O (0.717, 0.688, 0.862) x1
O (0.784, 0.476, 0.138) x1
O (0.825, 0.156, 0.137) x1
O (0.825, 0.797, 0.138) x1
O (0.935, 0.258, 0.365) x1
O (0.936, 0.619, 0.362) x1
O (0.965, 0.939, 0.361) x1

---

The calculation returns the following ΔH_f (0 K) values, one per record and in order: -2.209, -2.272, -2.210, -2.128, -1.916, -2.205 eV per atom.